# 1
Here is crystalline Ca3Mg5Si8O24 at its relaxed geometry from Materials Project. Energies are from GGA-PBE.

```
Ca3Mg5Si8O24
1.0
-1.913 4.107 -2.777
-4.584 -0.737 4.811
8.044 6.303 8.482
O Si Mg Ca
24 8 5 3
Direct
0.665 0.634 0.164
0.450 0.869 0.811
0.022 0.116 0.692
0.342 0.367 0.835
0.958 0.972 0.099
0.161 0.624 0.665
0.127 0.203 0.486
0.635 0.210 0.987
0.796 0.619 0.934
0.316 0.334 0.316
0.512 0.110 0.193
0.540 0.027 0.399
0.730 0.389 0.556
0.678 0.667 0.686
0.458 0.972 0.607
0.234 0.384 0.057
0.263 0.613 0.443
0.181 0.666 0.181
0.814 0.322 0.813
0.832 0.366 0.332
0.041 0.023 0.895
0.369 0.790 0.010
0.869 0.797 0.515
0.985 0.887 0.305
0.649 0.383 0.901
0.957 0.808 0.188
0.540 0.192 0.310
0.445 0.800 0.693
0.134 0.379 0.403
0.860 0.620 0.599
0.051 0.196 0.808
0.362 0.617 0.095
0.120 0.743 0.869
0.795 0.092 0.548
0.703 0.906 0.951
0.299 0.095 0.046
0.204 0.908 0.456
0.401 0.303 0.650
0.603 0.700 0.352
0.900 0.298 0.151
```

Summary:
- total magnetic moment (μB/cell) = 0.0
- calculated formation energy (eV per atom) = -3.31

# 2
Here is crystalline SmAu3 at its relaxed geometry from Materials Project. Energies are from GGA-PBE.

```
SmAu3
1.0
5.116 0.000 0.000
0.000 5.201 0.000
0.000 0.000 6.376
Au Sm
6 2
Direct
0.500 0.161 0.760
0.500 0.161 0.240
0.000 0.839 0.740
0.500 0.673 0.000
0.000 0.327 0.500
0.000 0.839 0.260
0.500 0.657 0.500
0.000 0.343 0.000
```

Summary:
- calculated formation energy (eV per atom) = -0.69

# 3
Here is crystalline W3Se2S4 at its relaxed geometry from Materials Project. Energies are from GGA-PBE.

```
W3Se2S4
1.0
-0.035 3.030 1.123
-1.974 -2.219 1.274
20.868 -7.134 19.901
W S Se
3 4 2
Direct
0.333 0.667 0.347
0.000 0.000 0.116
0.000 0.000 0.578
0.000 0.000 0.399
0.333 0.667 0.168
0.000 0.000 0.294
0.333 0.667 0.063
0.333 0.667 0.520
0.333 0.667 0.636
```

Summary:
- calculated formation energy (eV per atom) = -0.94

# 4
Here is crystalline CsEuAsS3 at its relaxed geometry from Materials Project. Energies are from GGA-PBE.

```
CsEuAsS3
1.0
-6.150 -3.460 4.687
5.758 -6.115 3.041
3.768 4.010 7.903
S Cs Eu As
12 4 4 4
Direct
0.309 0.584 0.314
0.983 0.785 0.025
0.582 0.901 0.232
0.191 0.084 0.314
0.418 0.099 0.768
0.809 0.916 0.686
0.918 0.401 0.232
0.017 0.215 0.975
0.082 0.599 0.768
0.483 0.715 0.975
0.517 0.285 0.025
0.691 0.416 0.686
0.927 0.727 0.407
0.573 0.227 0.407
0.427 0.773 0.593
0.073 0.273 0.593
0.283 0.969 0.064
0.217 0.469 0.064
0.717 0.031 0.936
0.783 0.531 0.936
0.047 0.845 0.786
0.547 0.655 0.214
0.453 0.345 0.786
0.953 0.155 0.214
```

Summary:
- calculated formation energy (eV per atom) = -1.40

# 5
Here is crystalline Y2ReC2 at its relaxed geometry from Materials Project. Energies are from GGA-PBE.

```
Y2ReC2
1.0
-0.794 3.173 3.952
-1.347 -5.163 3.876
9.579 -0.658 2.453
Y Re C
8 4 8
Direct
0.250 0.468 0.217
0.250 0.819 0.944
0.750 0.032 0.717
0.750 0.181 0.056
0.750 0.681 0.444
0.250 0.319 0.556
0.750 0.532 0.783
0.250 0.968 0.283
0.250 0.278 0.865
0.750 0.222 0.365
0.750 0.722 0.135
0.250 0.778 0.635
0.250 0.179 0.048
0.750 0.955 0.259
0.250 0.045 0.741
0.250 0.679 0.452
0.750 0.321 0.548
0.750 0.455 0.241
0.750 0.821 0.952
0.250 0.545 0.759
```

Summary:
- calculated formation energy (eV per atom) = -0.42

# 6
Here is crystalline SmSiPd at its relaxed geometry from Materials Project. Energies are from GGA-PBE.

```
SmSiPd
1.0
4.408 0.000 0.000
0.000 7.503 0.000
0.000 0.000 21.529
Si Pd Sm
12 12 12
Direct
0.250 0.416 0.772
0.250 0.411 0.571
0.750 0.584 0.228
0.750 0.916 0.605
0.250 0.084 0.272
0.750 0.911 0.929
0.250 0.084 0.395
0.750 0.916 0.728
0.750 0.584 0.105
0.250 0.089 0.071
0.250 0.416 0.895
0.750 0.589 0.429
0.250 0.420 0.094
0.750 0.583 0.564
0.250 0.417 0.237
0.250 0.083 0.936
0.750 0.917 0.064
0.250 0.083 0.737
0.750 0.583 0.763
0.250 0.417 0.436
0.750 0.920 0.406
0.750 0.917 0.263
0.250 0.080 0.594
0.750 0.580 0.906
0.250 0.794 0.833
0.250 0.793 0.166
0.750 0.293 0.334
0.750 0.206 0.167
0.750 0.294 0.667
0.250 0.713 0.002
0.750 0.287 0.998
0.750 0.213 0.498
0.250 0.706 0.333
0.250 0.707 0.666
0.750 0.207 0.834
0.250 0.787 0.502
```

Summary:
- calculated formation energy (eV per atom) = -0.96

# 7
Here is crystalline La7C3I10 at its relaxed geometry from Materials Project. Energies are from GGA-PBE.

```
La7C3I10
1.0
-6.483 -6.455 3.788
-3.917 -8.143 -7.824
7.054 -11.522 4.443
I La C
20 14 6
Direct
0.646 0.524 0.225
0.499 0.781 0.831
0.435 0.344 0.479
0.354 0.476 0.775
0.042 0.435 0.364
0.143 0.304 0.041
0.812 0.247 0.626
0.501 0.219 0.169
0.717 0.953 0.569
0.282 0.608 0.092
0.283 0.047 0.431
0.070 0.869 0.697
0.857 0.696 0.959
0.188 0.753 0.374
0.396 0.921 0.122
0.958 0.565 0.636
0.930 0.131 0.303
0.565 0.656 0.521
0.604 0.079 0.878
0.718 0.392 0.908
0.831 0.242 0.101
0.046 0.421 0.834
0.622 0.071 0.359
0.461 0.206 0.691
0.254 0.049 0.921
0.951 0.115 0.824
0.378 0.929 0.641
0.169 0.758 0.899
0.867 0.724 0.415
0.133 0.276 0.585
0.746 0.951 0.079
0.539 0.794 0.309
0.954 0.579 0.166
0.049 0.885 0.176
0.245 0.113 0.724
0.831 0.774 0.231
0.755 0.887 0.276
0.038 0.944 0.977
0.962 0.056 0.023
0.169 0.226 0.769
```

Summary:
- calculated formation energy (eV per atom) = -1.45

# 8
Here is crystalline DyCu3S3 at its relaxed geometry from Materials Project. Energies are from GGA-PBE.

```
DyCu3S3
1.0
6.637 -3.339 0.000
6.637 3.339 0.000
4.958 0.000 5.534
Dy Cu S
2 6 6
Direct
0.166 0.166 0.166
0.834 0.834 0.834
0.377 0.715 0.039
0.285 0.961 0.623
0.623 0.285 0.961
0.715 0.039 0.377
0.039 0.377 0.715
0.961 0.623 0.285
0.083 0.749 0.417
0.417 0.083 0.749
0.251 0.583 0.917
0.583 0.917 0.251
0.749 0.417 0.083
0.917 0.251 0.583
```

Summary:
- calculated formation energy (eV per atom) = -1.07

# 9
Here is crystalline SmCoGe at its relaxed geometry from Materials Project. Energies are from GGA-PBE.

```
SmCoGe
1.0
-1.327 -3.349 2.450
6.207 -3.123 -0.908
2.518 3.298 5.874
Ge Co Sm
4 4 4
Direct
0.250 0.107 0.805
0.750 0.607 0.695
0.250 0.393 0.305
0.750 0.893 0.195
0.250 0.432 0.644
0.750 0.568 0.356
0.750 0.932 0.856
0.250 0.068 0.144
0.250 0.812 0.478
0.250 0.688 0.978
0.750 0.312 0.022
0.750 0.188 0.522
```

Summary:
- calculated formation energy (eV per atom) = -0.60

# 10
Here is crystalline Sr11Cd6Sb12 at its relaxed geometry from Materials Project. Energies are from GGA-PBE.

```
Sr11Cd6Sb12
1.0
4.878 -0.655 -16.121
5.340 4.106 -15.451
12.696 -1.147 -0.612
Sb Cd Sr
12 6 11
Direct
0.090 0.090 0.767
0.295 0.295 0.135
0.705 0.705 0.865
0.453 0.453 0.884
0.543 0.543 0.500
0.547 0.547 0.116
0.457 0.457 0.500
0.150 0.150 0.216
0.850 0.850 0.784
0.309 0.309 0.530
0.910 0.910 0.233
0.691 0.691 0.470
0.548 0.548 0.755
0.452 0.452 0.245
0.219 0.219 0.333
0.781 0.781 0.667
0.400 0.400 0.745
0.600 0.600 0.255
0.722 0.722 0.133
0.886 0.886 0.506
0.278 0.278 0.867
0.126 0.126 0.984
0.874 0.874 0.016
0.201 0.201 0.657
0.114 0.114 0.494
0.019 0.019 0.319
0.981 0.981 0.681
0.000 0.000 0.000
0.799 0.799 0.343
```

Summary:
- total magnetic moment (μB/cell) = 0.0
- calculated formation energy (eV per atom) = -0.81

# 11
Here is crystalline LiSn2P3O12 at its relaxed geometry from Materials Project. Energies are from GGA-PBE.

```
LiSn2P3O12
1.0
-0.001 -2.954 -8.346
-4.606 -7.223 -2.235
-7.263 0.648 -5.021
O P Sn Li
24 6 4 2
Direct
0.010 0.613 0.804
0.304 0.113 0.510
0.613 0.804 0.010
0.086 0.940 0.733
0.414 0.767 0.560
0.233 0.440 0.586
0.733 0.086 0.940
0.060 0.267 0.914
0.387 0.196 0.990
0.914 0.060 0.267
0.196 0.990 0.387
0.113 0.510 0.304
0.586 0.233 0.440
0.510 0.304 0.113
0.560 0.414 0.767
0.696 0.887 0.490
0.767 0.560 0.414
0.440 0.586 0.233
0.990 0.387 0.196
0.490 0.696 0.887
0.887 0.490 0.696
0.940 0.733 0.086
0.804 0.010 0.613
0.267 0.914 0.060
0.044 0.456 0.750
0.956 0.544 0.250
0.750 0.044 0.456
0.456 0.750 0.044
0.544 0.250 0.956
0.250 0.956 0.544
0.643 0.643 0.643
0.857 0.857 0.857
0.143 0.143 0.143
0.357 0.357 0.357
0.000 0.000 0.000
0.500 0.500 0.500
```

Summary:
- total magnetic moment (μB/cell) = 0.0
- ΔE to the lowest computed polymorph (meV per atom) = 6
- calculated formation energy (eV per atom) = -2.52

# 12
Here is crystalline Ba5In4Sb6 at its relaxed geometry from Materials Project. Energies are from GGA-PBE.

```
Ba5In4Sb6
1.0
-2.116 7.432 3.376
-13.521 -5.085 2.722
5.613 -5.988 16.699
Sb In Ba
24 16 20
Direct
0.095 0.665 0.871
0.398 0.000 0.633
0.577 0.172 0.868
0.095 0.335 0.129
0.944 0.500 0.624
0.056 0.000 0.124
0.056 0.000 0.876
0.577 0.172 0.132
0.095 0.335 0.871
0.095 0.665 0.129
0.398 0.000 0.367
0.905 0.165 0.629
0.944 0.500 0.376
0.905 0.835 0.629
0.423 0.672 0.632
0.905 0.835 0.371
0.423 0.672 0.368
0.577 0.828 0.868
0.423 0.328 0.368
0.602 0.500 0.867
0.577 0.828 0.132
0.905 0.165 0.371
0.602 0.500 0.133
0.423 0.328 0.632
0.898 0.815 0.081
0.567 0.155 0.422
0.433 0.655 0.078
0.433 0.655 0.922
0.102 0.315 0.581
0.433 0.345 0.922
0.898 0.185 0.919
0.898 0.815 0.919
0.102 0.685 0.419
0.102 0.315 0.419
0.102 0.685 0.581
0.567 0.155 0.578
0.433 0.345 0.078
0.567 0.845 0.578
0.898 0.185 0.081
0.567 0.845 0.422
0.240 0.836 0.751
0.261 0.500 0.752
0.737 0.650 0.500
0.263 0.850 0.000
0.760 0.664 0.251
0.760 0.336 0.251
0.760 0.664 0.749
0.709 0.000 0.000
0.263 0.150 0.000
0.291 0.500 0.500
0.737 0.350 0.500
0.929 0.500 0.000
0.240 0.836 0.249
0.739 0.000 0.252
0.240 0.164 0.249
0.071 0.000 0.500
0.261 0.500 0.248
0.240 0.164 0.751
0.760 0.336 0.749
0.739 0.000 0.748
```

Summary:
- total magnetic moment (μB/cell) = 0.1
- calculated formation energy (eV per atom) = -0.80